## NdAl2Cu9 (PBE-GGA)

Data for a geometry-optimized NdAl2Cu9 structure.

Total energy: -103.0 eV per cell
Formation enthalpy at 0 K: -0.196 eV per atom

Geometry as extended XYZ:
```
24
Lattice="-5.0755 5.0755 3.3059 5.0755 -5.0755 3.3059 5.0755 5.0755 -3.3059" Properties=species:S:1:pos:R:3 pbc="T T T"
Nd 5.0755 2.5377 0.8265
Nd 0.0000 2.5377 2.4794
Al 0.0000 0.0000 0.0000
Al 2.5377 2.5377 -1.6530
Al 2.5377 -2.5377 1.6530
Al 0.0000 5.0755 0.0000
Cu 5.0755 -2.5377 2.4794
Cu 3.8295 -0.4351 1.1984
Cu 6.3215 -0.4351 1.1984
Cu 2.1026 1.2918 0.4545
Cu 8.0484 1.2918 0.4545
Cu 3.8295 4.6404 -1.1984
Cu 1.2460 -0.4351 2.1075
Cu 2.1026 3.7837 0.4545
Cu 2.9729 -1.2918 3.7604
Cu 2.1026 6.3672 -0.4545
Cu 2.9729 1.2918 2.8514
Cu 3.8295 5.5106 1.1984
Cu 1.2460 0.4351 4.5043
Cu -2.9729 3.7837 2.8514
Cu 2.9729 3.7837 2.8514
Cu -1.2460 5.5106 2.1075
Cu 1.2460 5.5106 2.1075
Cu 0.0000 7.6132 0.8265
```